1.
# V2O5, optimized geometry, DFT PBE+U
data_V2O5
_chemical_formula_sum 'V30 O75'
_symmetry_space_group_name_H-M 'P 1'
_symmetry_Int_Tables_number 1
_cell_length_a 12.075
_cell_length_b 12.916
_cell_length_c 13.134
_cell_angle_alpha 89.33
_cell_angle_beta 81.22
_cell_angle_gamma 87.61
loop_
_symmetry_equiv_pos_as_xyz
'x,y,z'
loop_
_atom_site_label
_atom_site_type_symbol
_atom_site_fract_x
_atom_site_fract_y
_atom_site_fract_z
V1 V 0.000 0.000 0.000
V2 V 0.000 0.237 0.139
V3 V 0.053 0.981 0.604
V4 V 0.067 0.916 0.351
V5 V 0.092 0.493 0.808
V6 V 0.136 0.594 0.031
V7 V 0.155 0.391 0.622
V8 V 0.226 0.836 0.934
V9 V 0.232 0.868 0.665
V10 V 0.281 0.237 0.068
V11 V 0.306 0.082 0.278
V12 V 0.350 0.576 0.188
V13 V 0.353 0.235 0.458
V14 V 0.402 0.963 0.468
V15 V 0.461 0.806 0.208
V16 V 0.505 0.398 0.081
V17 V 0.516 0.789 0.950
V18 V 0.530 0.891 0.641
V19 V 0.601 0.555 0.468
V20 V 0.610 0.241 0.906
V21 V 0.615 0.302 0.471
V22 V 0.618 0.132 0.681
V23 V 0.627 0.712 0.724
V24 V 0.659 0.824 0.390
V25 V 0.882 0.864 0.191
V26 V 0.884 0.274 0.382
V27 V 0.896 0.632 0.695
V28 V 0.904 0.466 0.041
V29 V 0.909 0.739 0.458
V30 V 0.949 0.215 0.624
O1 O 0.000 0.127 0.066
O2 O 0.001 0.549 0.089
O3 O 0.006 0.964 0.487
O4 O 0.012 0.603 0.770
O5 O 0.037 0.777 0.382
O6 O 0.057 0.379 0.751
O7 O 0.069 0.870 0.678
O8 O 0.080 0.267 0.596
O9 O 0.100 0.470 0.547
O10 O 0.135 0.938 0.002
O11 O 0.136 0.283 0.119
O12 O 0.151 0.722 0.973
O13 O 0.166 0.510 0.919
O14 O 0.189 0.012 0.316
O15 O 0.195 0.998 0.581
O16 O 0.211 0.487 0.708
O17 O 0.222 0.594 0.133
O18 O 0.238 0.872 0.800
O19 O 0.255 0.751 0.623
O20 O 0.280 0.206 0.354
O21 O 0.283 0.198 0.951
O22 O 0.285 0.323 0.547
O23 O 0.316 0.131 0.147
O24 O 0.326 0.875 0.427
O25 O 0.335 0.475 0.263
O26 O 0.367 0.814 0.960
O27 O 0.371 0.340 0.070
O28 O 0.373 0.903 0.190
O29 O 0.376 0.120 0.515
O30 O 0.380 0.692 0.249
O31 O 0.381 0.920 0.613
O32 O 0.422 0.041 0.328
O33 O 0.431 0.546 0.054
O34 O 0.466 0.557 0.475
O35 O 0.480 0.795 0.725
O36 O 0.490 0.289 0.416
O37 O 0.518 0.538 0.123
O38 O 0.537 0.162 0.981
O39 O 0.539 0.771 0.084
O40 O 0.540 0.017 0.697
O41 O 0.545 0.836 0.300
O42 O 0.559 0.328 0.165
O43 O 0.559 0.906 0.487
O44 O 0.561 0.686 0.861
O45 O 0.570 0.226 0.779
O46 O 0.581 0.890 0.904
O47 O 0.588 0.370 0.957
O48 O 0.615 0.620 0.639
O49 O 0.617 0.196 0.557
O50 O 0.621 0.412 0.537
O51 O 0.632 0.701 0.426
O52 O 0.654 0.504 0.356
O53 O 0.666 0.828 0.639
O54 O 0.734 0.282 0.376
O55 O 0.744 0.096 0.694
O56 O 0.746 0.863 0.266
O57 O 0.761 0.197 0.912
O58 O 0.767 0.690 0.760
O59 O 0.777 0.514 0.054
O60 O 0.779 0.175 0.006
O61 O 0.790 0.829 0.444
O62 O 0.863 0.525 0.648
O63 O 0.864 0.285 0.704
O64 O 0.875 0.628 0.420
O65 O 0.891 0.922 0.061
O66 O 0.897 0.209 0.498
O67 O 0.909 0.333 0.106
O68 O 0.931 0.389 0.384
O69 O 0.933 0.720 0.590
O70 O 0.934 0.746 0.180
O71 O 0.958 0.454 0.914
O72 O 0.961 0.204 0.270
O73 O 0.971 0.940 0.254
O74 O 0.975 0.085 0.672
O75 O 0.982 0.018 0.882
# Formation enthalpy at 0 K   -1.78 eV/atom
# M_tot   0.057 μB per atom

***

2.
# V5O9, optimized geometry, DFT PBE+U
data_V5O9
_chemical_formula_sum 'V10 O18'
_symmetry_space_group_name_H-M 'P 1'
_symmetry_Int_Tables_number 1
_cell_length_a 5.629
_cell_length_b 7.110
_cell_length_c 8.581
_cell_angle_alpha 69.80
_cell_angle_beta 74.46
_cell_angle_gamma 70.96
loop_
_symmetry_equiv_pos_as_xyz
'x,y,z'
loop_
_atom_site_label
_atom_site_type_symbol
_atom_site_fract_x
_atom_site_fract_y
_atom_site_fract_z
V1 V 0.000 0.000 0.000
V2 V 0.005 0.492 0.010
V3 V 0.273 0.177 0.578
V4 V 0.283 0.671 0.586
V5 V 0.554 0.855 0.159
V6 V 0.563 0.351 0.157
V7 V 0.621 0.347 0.781
V8 V 0.640 0.827 0.797
V9 V 0.918 0.016 0.385
V10 V 0.934 0.526 0.373
O1 O 0.001 0.683 0.787
O2 O 0.026 0.714 0.444
O3 O 0.188 0.980 0.498
O4 O 0.221 0.968 0.161
O5 O 0.252 0.985 0.828
O6 O 0.284 0.374 0.341
O7 O 0.335 0.379 0.998
O8 O 0.375 0.358 0.666
O9 O 0.544 0.634 0.726
O10 O 0.578 0.659 0.380
O11 O 0.601 0.642 0.046
O12 O 0.654 0.025 0.554
O13 O 0.689 0.028 0.910
O14 O 0.706 0.037 0.214
O15 O 0.861 0.308 0.948
O16 O 0.879 0.323 0.257
O17 O 0.898 0.335 0.598
O18 O 0.965 0.710 0.123
# Formation enthalpy at 0 K   -2.49 eV/atom
# M_tot   0.500 μB per atom
# Distance to the lowest polymorph of the same formula   9 meV per atom

***

3.
# V2O3, optimized geometry, DFT PBE+U
data_V2O3
_chemical_formula_sum 'V8 O12'
_symmetry_space_group_name_H-M 'C 1 c 1'
_symmetry_Int_Tables_number 9
_cell_length_a 10.646
_cell_length_b 6.226
_cell_length_c 7.197
_cell_angle_alpha 90.00
_cell_angle_beta 120.28
_cell_angle_gamma 90.00
loop_
_symmetry_equiv_pos_as_xyz
'x,y,z'
'x,-y,z+1/2'
'x+1/2,y+1/2,z'
'x+1/2,-y+1/2,z+1/2'
loop_
_atom_site_label
_atom_site_type_symbol
_atom_site_fract_x
_atom_site_fract_y
_atom_site_fract_z
V1 V 0.000 0.246 0.000
V2 V 0.351 0.251 0.044
O1 O 0.180 0.300 0.024
O2 O 0.410 0.021 0.523
O3 O 0.461 0.469 0.020
# Formation enthalpy at 0 K   -1.83 eV/atom
# M_tot   0.800 μB per atom

***

4.
# V2O5, optimized geometry, DFT PBE+U
data_V2O5
_chemical_formula_sum 'V30 O75'
_symmetry_space_group_name_H-M 'P 1'
_symmetry_Int_Tables_number 1
_cell_length_a 11.415
_cell_length_b 12.300
_cell_length_c 13.247
_cell_angle_alpha 94.13
_cell_angle_beta 92.89
_cell_angle_gamma 90.23
loop_
_symmetry_equiv_pos_as_xyz
'x,y,z'
loop_
_atom_site_label
_atom_site_type_symbol
_atom_site_fract_x
_atom_site_fract_y
_atom_site_fract_z
V1 V 0.000 0.000 0.000
V2 V 0.003 0.672 0.725
V3 V 0.079 0.114 0.542
V4 V 0.143 0.267 0.693
V5 V 0.148 0.819 0.125
V6 V 0.184 0.558 0.386
V7 V 0.197 0.602 0.932
V8 V 0.277 0.289 0.368
V9 V 0.297 0.030 0.049
V10 V 0.316 0.077 0.530
V11 V 0.327 0.384 0.811
V12 V 0.433 0.130 0.219
V13 V 0.435 0.745 0.851
V14 V 0.444 0.280 0.597
V15 V 0.520 0.576 0.172
V16 V 0.541 0.526 0.717
V17 V 0.548 0.956 0.417
V18 V 0.576 0.962 0.010
V19 V 0.612 0.335 0.136
V20 V 0.738 0.526 0.877
V21 V 0.738 0.899 0.634
V22 V 0.746 0.573 0.230
V23 V 0.792 0.809 0.875
V24 V 0.807 0.050 0.192
V25 V 0.867 0.146 0.647
V26 V 0.876 0.421 0.682
V27 V 0.907 0.822 0.286
V28 V 0.945 0.477 0.042
V29 V 0.965 0.446 0.260
V30 V 0.986 0.723 0.527
O1 O 0.014 0.813 0.190
O2 O 0.016 0.095 0.925
O3 O 0.028 0.152 0.687
O4 O 0.038 0.368 0.686
O5 O 0.069 0.525 0.992
O6 O 0.082 0.613 0.471
O7 O 0.086 0.749 0.642
O8 O 0.098 0.525 0.268
O9 O 0.104 0.245 0.527
O10 O 0.129 0.639 0.823
O11 O 0.149 0.943 0.045
O12 O 0.163 0.227 0.314
O13 O 0.165 0.707 0.041
O14 O 0.175 0.042 0.457
O15 O 0.191 0.282 0.818
O16 O 0.218 0.100 0.635
O17 O 0.255 0.431 0.411
O18 O 0.260 0.472 0.911
O19 O 0.261 0.842 0.202
O20 O 0.280 0.650 0.365
O21 O 0.282 0.135 0.140
O22 O 0.293 0.323 0.664
O23 O 0.297 0.077 0.939
O24 O 0.334 0.209 0.477
O25 O 0.336 0.669 0.923
O26 O 0.355 0.794 0.761
O27 O 0.389 0.269 0.287
O28 O 0.393 0.498 0.752
O29 O 0.398 0.967 0.500
O30 O 0.412 0.657 0.153
O31 O 0.430 0.318 0.865
O32 O 0.445 0.145 0.625
O33 O 0.447 0.048 0.316
O34 O 0.448 0.005 0.094
O35 O 0.480 0.857 0.940
O36 O 0.491 0.367 0.477
O37 O 0.492 0.433 0.138
O38 O 0.531 0.358 0.680
O39 O 0.533 0.563 0.603
O40 O 0.546 0.658 0.794
O41 O 0.559 0.211 0.175
O42 O 0.561 0.282 0.490
O43 O 0.565 0.847 0.342
O44 O 0.589 0.058 0.936
O45 O 0.611 0.504 0.921
O46 O 0.614 0.587 0.294
O47 O 0.618 0.899 0.554
O48 O 0.649 0.310 0.021
O49 O 0.651 0.611 0.114
O50 O 0.661 0.038 0.412
O51 O 0.681 0.999 0.121
O52 O 0.697 0.862 0.960
O53 O 0.713 0.486 0.743
O54 O 0.720 0.838 0.758
O55 O 0.734 0.425 0.200
O56 O 0.773 0.038 0.678
O57 O 0.784 0.669 0.899
O58 O 0.791 0.172 0.241
O59 O 0.797 0.734 0.251
O60 O 0.824 0.279 0.694
O61 O 0.842 0.438 0.937
O62 O 0.853 0.442 0.566
O63 O 0.855 0.847 0.575
O64 O 0.859 0.958 0.288
O65 O 0.866 0.550 0.317
O66 O 0.883 0.575 0.118
O67 O 0.903 0.648 0.604
O68 O 0.915 0.894 0.940
O69 O 0.922 0.096 0.523
O70 O 0.928 0.054 0.108
O71 O 0.934 0.769 0.791
O72 O 0.935 0.541 0.756
O73 O 0.971 0.794 0.403
O74 O 0.975 0.359 0.344
O75 O 0.975 0.377 0.129
# Formation enthalpy at 0 K   -1.77 eV/atom
# M_tot   0.019 μB per atom

***

5.
# V2O5, optimized geometry, DFT PBE+U
data_V2O5
_chemical_formula_sum 'V16 O40'
_symmetry_space_group_name_H-M 'F d d 2'
_symmetry_Int_Tables_number 43
_symmetry_space_group_name_Hall 'F 2 -2d'
_cell_length_a 9.803
_cell_length_b 19.793
_cell_length_c 5.819
_cell_angle_alpha 90.00
_cell_angle_beta 90.00
_cell_angle_gamma 90.00
loop_
_atom_site_label
_atom_site_type_symbol
_atom_site_fract_x
_atom_site_fract_y
_atom_site_fract_z
V1 V 0.078 0.076 0.000
O1 O 0.000 0.000 0.112
O2 O 0.051 0.363 0.449
O3 O 0.098 0.309 0.010
# Formation enthalpy at 0 K   -2.28 eV/atom

***

6.
# V3O5, optimized geometry, DFT PBE+U
data_V3O5
_chemical_formula_sum 'V12 O20'
_symmetry_space_group_name_H-M 'C 1 2/c 1'
_symmetry_Int_Tables_number 15
_cell_length_a 10.180
_cell_length_b 5.202
_cell_length_c 7.088
_cell_angle_alpha 90.00
_cell_angle_beta 112.46
_cell_angle_gamma 90.00
loop_
_symmetry_equiv_pos_as_xyz
'x,y,z'
'-x,-y,-z'
'-x,y,-z+1/2'
'x,-y,z+1/2'
'x+1/2,y+1/2,z'
'-x+1/2,-y+1/2,-z'
'-x+1/2,y+1/2,-z+1/2'
'x+1/2,-y+1/2,z+1/2'
loop_
_atom_site_label
_atom_site_type_symbol
_atom_site_fract_x
_atom_site_fract_y
_atom_site_fract_z
V1 V 0.000 0.000 0.000
V2 V 0.130 0.498 0.222
O1 O 0.000 0.194 0.750
O2 O 0.079 0.348 0.443
O3 O 0.194 0.157 0.164
# Formation enthalpy at 0 K   -2.49 eV/atom
# Distance to the lowest polymorph of the same formula   29 meV per atom

***

Electronic total energy in eV/atom, matching the order above: -7.311, -7.864, -7.342, -7.300, -7.430, -7.925